(1)
## K4BaTi6S20O (PBE)

Data for a relaxed structure of K4BaTi6S20O.

Properties
Total energy after the MP2020 corrections (hartree per atom): -0.220
Volume (Å³/atom): 22.75
Formation energy from the elements (eV per atom): -1.57
SG: Fdd2, No. 43

Lattice parameters (Å, degrees): 18.190 17.373 9.660 78.96 69.62 31.42
Sites, in units of the cell vectors:
S (0.509, 0.085, 0.074)
S (0.419, 0.988, 0.666)
S (0.049, 0.480, 0.549)
S (0.670, 0.431, 0.544)
S (0.305, 0.950, 0.468)
S (0.584, 0.322, 0.831)
S (0.480, 0.049, 0.922)
S (0.431, 0.670, 0.355)
S (0.447, 0.024, 0.451)
S (0.129, 0.558, 0.944)
S (0.940, 0.373, 0.629)
S (0.720, 0.524, 0.057)
S (0.558, 0.129, 0.369)
S (0.328, 0.701, 0.770)
S (0.193, 0.551, 0.530)
S (0.306, 0.881, 0.121)
S (0.918, 0.176, 0.165)
S (0.973, 0.782, 0.300)
S (0.176, 0.918, 0.741)
S (0.068, 0.833, 0.644)
S (0.024, 0.447, 0.078)
S (0.524, 0.720, 0.699)
S (0.621, 0.192, 0.310)
S (0.782, 0.973, 0.945)
S (0.950, 0.305, 0.277)
S (0.373, 0.940, 0.058)
S (0.895, 0.706, 0.819)
S (0.833, 0.068, 0.456)
S (0.988, 0.419, 0.928)
S (0.085, 0.509, 0.332)
S (0.701, 0.328, 0.201)
S (0.881, 0.306, 0.692)
S (0.551, 0.193, 0.726)
S (0.322, 0.584, 0.262)
S (0.606, 0.794, 0.182)
S (0.192, 0.621, 0.877)
S (0.799, 0.172, 0.803)
S (0.794, 0.606, 0.417)
S (0.172, 0.799, 0.226)
S (0.706, 0.895, 0.580)
K (0.125, 0.125, 0.875)
K (0.206, 0.206, 0.294)
K (0.375, 0.375, 0.125)
K (0.457, 0.457, 0.543)
K (0.294, 0.294, 0.706)
K (0.707, 0.707, 0.793)
K (0.544, 0.544, 0.956)
K (0.956, 0.956, 0.044)
Ti (0.531, 0.818, 0.468)
Ti (0.024, 0.726, 0.773)
Ti (0.717, 0.433, 0.280)
Ti (0.681, 0.970, 0.817)
Ti (0.970, 0.681, 0.533)
Ti (0.433, 0.717, 0.569)
Ti (0.782, 0.067, 0.719)
Ti (0.818, 0.531, 0.183)
Ti (0.726, 0.024, 0.477)
Ti (0.477, 0.773, 0.226)
Ti (0.067, 0.782, 0.432)
Ti (0.773, 0.477, 0.524)
Ba (0.042, 0.042, 0.458)
Ba (0.792, 0.792, 0.208)
O (0.875, 0.875, 0.625)
O (0.625, 0.625, 0.375)

---

(2)
## LaSc3B4O12 (PBE)

Data for a relaxed structure of LaSc3B4O12.

Properties
Energy above the lowest structure with this stoichiometry (eV/atom): 0.000
Total energy after the MP2020 corrections (hartree per atom): -0.330
Volume (Å³/atom): 11.40
Formation energy from the elements (eV per atom): -3.47
SG: R32, No. 155

Lattice parameters (Å, degrees): 6.316 6.316 6.316 103.22 103.22 103.22
Sites, in units of the cell vectors:
B (0.450, 0.550, 0.000)
B (0.000, 0.000, 0.000)
B (0.550, 0.000, 0.450)
B (0.000, 0.450, 0.550)
O (0.000, 0.860, 0.140)
O (0.140, 0.000, 0.860)
O (0.702, 0.874, 0.470)
O (0.126, 0.298, 0.530)
O (0.530, 0.126, 0.298)
O (0.000, 0.590, 0.410)
O (0.590, 0.410, 0.000)
O (0.874, 0.470, 0.702)
O (0.410, 0.000, 0.590)
O (0.298, 0.530, 0.126)
O (0.860, 0.140, 0.000)
O (0.470, 0.702, 0.874)
Sc (0.048, 0.952, 0.500)
Sc (0.500, 0.048, 0.952)
Sc (0.952, 0.500, 0.048)
La (0.500, 0.500, 0.500)

---

(3)
## BaLiYCu2O5 (PBE)

Data for a relaxed structure of BaLiYCu2O5.

Properties
Energy above the lowest structure with this stoichiometry (eV/atom): 0.000
Total energy after the MP2020 corrections (hartree per atom): -0.237
Volume (Å³/atom): 13.59
Formation energy from the elements (eV per atom): -2.13
SG: Pm, No. 6

Lattice parameters (Å, degrees): 3.784 3.944 9.105 90.01 90.05 89.95
Sites, in units of the cell vectors:
Ba (0.999, 0.000, 0.067)
Li (0.001, 0.500, 0.831)
O (0.500, 0.000, 0.294)
O (0.000, 0.500, 0.306)
O (0.500, 0.500, 0.946)
O (0.500, 0.000, 0.614)
O (0.000, 0.500, 0.621)
Cu (0.500, 0.500, 0.647)
Cu (0.500, 0.500, 0.290)
Y (0.000, 0.000, 0.473)